No. 1
The following is a r²SCAN calculation of crystalline CuAu at its relaxed geometry, from Materials Project.

Values from the calculation:
* volume: 14.55 Å³/atom
* DFT formation energy: -60 meV/atom

```
4
Lattice="-0.761 -2.624 -2.316 3.764 0.173 -1.433 1.161 -2.738 2.721" Properties=species:S:1:pos:R:3 pbc="T T T"
Au 0.000 0.000 0.000
Au 2.463 -1.283 0.644
Cu 0.200 -2.681 0.203
Cu 1.502 -1.226 -1.874
```

No. 2
The following is a r²SCAN calculation of crystalline CuAu3 at its relaxed geometry, from Materials Project.

Values from the calculation:
* volume: 16.19 Å³/atom
* DFT formation energy: -10 meV/atom

```
8
Lattice="0.211 2.647 -4.974 -2.770 2.335 4.321 3.938 2.198 1.337" Properties=species:S:1:pos:R:3 pbc="T T T"
Au 0.082 1.789 0.955
Cu 0.202 3.092 -1.542
Au 2.660 4.243 -2.398
Au 1.297 5.391 -0.272
Cu 1.177 4.088 2.225
Au -1.177 4.239 0.634
Au -1.281 2.937 3.081
Au 2.556 2.941 0.049
```

No. 3
The following is a r²SCAN calculation of crystalline CuAu3 at its relaxed geometry, from Materials Project.

Values from the calculation:
* volume: 16.18 Å³/atom
* DFT formation energy: -22 meV/atom

```
4
Lattice="-1.991 1.991 4.082 1.991 -1.991 4.082 1.991 1.991 -4.082" Properties=species:S:1:pos:R:3 pbc="T T T"
Cu 0.000 0.000 0.000
Au 0.000 0.000 4.082
Au 1.991 0.000 2.041
Au 0.000 1.991 2.041
```

No. 4
The following is a r²SCAN calculation of crystalline Sc2CuAu at its relaxed geometry, from Materials Project.

Values from the calculation:
* volume: 18.32 Å³/atom
* DFT formation energy: -569 meV/atom

```
4
Lattice="0.000 3.322 3.322 3.322 0.000 3.322 3.322 3.322 0.000" Properties=species:S:1:pos:R:3 pbc="T T T"
Sc 3.322 3.322 3.322
Cu 4.982 4.982 4.982
Sc 0.000 0.000 0.000
Au 1.661 1.661 1.661
```